Material: Hg3AsO4
Method: DFT, meta-GGA r2SCAN
State: optimized geometry

ΔH_f (0 K) in meV per atom: -806
Final energy in eV per atom: -24.144
Crystal system: monoclinic

```
32
Lattice="8.949 0.000 0.000 0.000 5.123 0.000 -7.779 0.000 12.249" Properties=species:S:1:pos:R:3 pbc="T T T"
Hg -0.301 0.740 1.010
Hg -4.191 1.822 7.135
Hg -1.131 0.773 5.650
Hg -5.020 1.789 11.774
Hg 3.031 3.380 1.532
Hg -0.859 4.305 7.657
Hg 2.029 0.818 4.592
Hg -1.860 1.744 10.717
Hg 6.191 3.335 0.475
Hg 2.301 4.350 6.599
Hg 5.361 3.302 5.115
Hg 1.472 4.383 11.239
As -0.070 3.244 3.358
As -3.959 4.441 9.482
As 5.130 0.682 2.767
As 1.240 1.880 8.892
O -0.772 2.694 1.903
O -4.661 4.991 8.028
O -0.993 2.758 4.704
O -4.882 4.928 10.829
O -3.887 2.745 9.445
O 0.002 4.940 3.320
O 1.536 2.633 3.447
O -2.353 5.052 9.571
O 3.523 0.071 2.678
O -0.366 2.490 8.803
O 1.168 0.184 8.929
O 5.058 2.378 2.804
O 6.052 0.196 1.420
O 2.163 2.366 7.545
O 5.831 0.133 4.221
O 1.942 2.429 10.346
```

Material: Hg3AsO4
Method: DFT, meta-GGA r2SCAN
State: optimized geometry

ΔH_f (0 K) in meV per atom: -803
Final energy in eV per atom: -24.140
Crystal system: monoclinic

```
64
Lattice="10.241 0.000 0.000 0.000 8.724 0.000 -2.576 0.000 13.364" Properties=species:S:1:pos:R:3 pbc="T T T"
Hg -0.944 1.984 5.365
Hg -2.231 2.378 12.047
Hg -1.499 0.504 8.555
Hg -0.211 3.858 1.873
Hg 1.932 0.778 2.207
Hg 0.644 3.584 8.889
Hg 1.094 5.362 10.693
Hg 2.382 7.724 4.011
Hg 2.045 0.583 11.149
Hg 3.333 3.779 4.467
Hg 3.176 6.499 7.216
Hg 4.463 6.587 0.534
Hg 3.202 2.137 12.830
Hg 4.490 2.225 6.148
Hg 4.333 4.945 8.897
Hg 5.621 8.142 2.215
Hg 5.284 1.000 9.353
Hg 6.571 3.362 2.671
Hg 7.021 5.140 4.475
Hg 5.734 7.946 11.157
Hg 7.877 4.866 11.491
Hg 9.165 8.220 4.809
Hg 9.897 6.346 1.317
Hg 8.609 6.740 7.999
As 0.324 5.194 5.395
As -0.964 7.892 12.077
As 1.925 0.719 7.916
As 3.212 3.643 1.234
As 4.453 5.081 12.130
As 5.741 8.006 5.448
As 8.630 0.832 1.287
As 7.342 3.530 7.969
O -0.783 6.099 4.449
O -2.071 6.987 11.131
O -0.071 5.202 7.042
O 1.217 7.884 0.360
O -0.894 0.712 11.375
O 0.394 3.650 4.693
O 0.636 1.814 7.581
O 1.924 2.548 0.899
O 1.907 5.842 5.200
O 0.619 7.245 11.882
O 2.775 4.637 2.557
O 1.487 8.449 9.239
O 0.870 4.667 13.264
O 2.158 8.419 6.582
O 3.268 1.691 8.292
O 4.556 2.671 1.610
O 3.109 6.053 11.754
O 4.397 7.033 5.072
O 5.508 0.305 6.782
O 6.796 4.057 0.100
O 6.178 0.275 4.125
O 4.891 4.087 10.807
O 7.047 1.480 1.482
O 5.759 2.883 8.164
O 5.742 6.176 12.465
O 7.029 6.910 5.783
O 7.272 5.074 8.671
O 8.560 8.012 1.989
O 6.448 0.840 13.004
O 7.736 3.522 6.322
O 9.737 1.737 2.233
O 8.449 2.625 8.915
```

Material: HgAsPd5
Method: DFT, meta-GGA r2SCAN
State: optimized geometry

ΔH_f (0 K) in meV per atom: -318
Final energy in eV per atom: -25.872
Crystal system: tetragonal

```
7
Lattice="4.022 0.000 0.000 0.000 4.022 0.000 0.000 0.000 7.091" Properties=species:S:1:pos:R:3 pbc="T T T"
Hg 0.000 0.000 0.000
As 2.011 2.011 3.545
Pd 0.000 2.011 2.073
Pd 0.000 2.011 5.018
Pd 2.011 0.000 2.073
Pd 2.011 0.000 5.018
Pd 2.011 2.011 0.000
```

Material: HoNiAs
Method: DFT, meta-GGA r2SCAN
State: optimized geometry

ΔH_f (0 K) in meV per atom: -1169
Final energy in eV per atom: -21.026
Crystal system: hexagonal

```
12
Lattice="4.024 0.000 0.000 -2.012 3.484 0.000 0.000 0.000 15.212" Properties=species:S:1:pos:R:3 pbc="T T T"
Ho 0.000 0.000 0.000
Ho 0.000 0.000 3.803
Ho 0.000 0.000 7.606
Ho 0.000 0.000 11.409
Ni 0.000 2.323 2.043
Ni 0.000 2.323 5.563
Ni 2.012 1.161 9.649
Ni 2.012 1.161 13.168
As 0.000 2.323 9.439
As 0.000 2.323 13.379
As 2.012 1.161 1.833
As 2.012 1.161 5.773
```

Please write out number 3 again, unchanged.
Material: HgAsPd5
Method: DFT, meta-GGA r2SCAN
State: optimized geometry

ΔH_f (0 K) in meV per atom: -318
Final energy in eV per atom: -25.872
Crystal system: tetragonal

```
7
Lattice="4.022 0.000 0.000 0.000 4.022 0.000 0.000 0.000 7.091" Properties=species:S:1:pos:R:3 pbc="T T T"
Hg 0.000 0.000 0.000
As 2.011 2.011 3.545
Pd 0.000 2.011 2.073
Pd 0.000 2.011 5.018
Pd 2.011 0.000 2.073
Pd 2.011 0.000 5.018
Pd 2.011 2.011 0.000
```

Question: Among the records above, which one has the lowest ΔH_f (0 K)?
Answer: HoNiAs

Question: What is the formula in the third record?
Answer: HgAsPd5

Question: final energy of number 1 (Hg3AsO4)?
Answer: -24.144 eV per atom